A relaxed Fe4P9O32 crystal. Source: Materials Project, functional GGA+U.

The crystal system is tetragonal. The calculation puts the magnetization at 37.022 Bohr magnetons per cell. As for the formation enthalpy at 0 K: -2124 meV per atom. The value obtained for the density is 2.62 g/cm³.

The structure belongs to space group P-42_1c (No. 114); the cell edges are 14.164, 14.164 and 6.400 Å and the angles 90.00°, 90.00° and 90.00°. Symmetry generates all atoms from Fe at (0.119, 0.199, 0.125), P at (0.000, 0.000, 0.000), P at (0.060, 0.700, 0.883), P at (0.108, 0.247, 0.635), O at (0.001, 0.721, 0.673), O at (0.007, 0.741, 0.072), O at (0.061, 0.066, 0.139), O at (0.071, 0.593, 0.906), O at (0.106, 0.192, 0.431), O at (0.134, 0.182, 0.818), O at (0.157, 0.745, 0.850) and O at (0.163, 0.334, 0.126).